The following is a DFT calculation (PBE) of a relaxed Sr2ZrSnO6 crystal.

Calculated values
VASP energy = -7.2753 eV per atom
density = 5578 kg/m³
calculated formation energy = -3.1251 eV per atom
magnetic moment = 0.00 μB per formula unit

Cell lengths 5.873, 5.873, 5.873 Å; angles 60.00, 60.00, 60.00 degrees
Sites, in units of the cell vectors:
Sr1 0.250 0.250 0.250
Sr2 0.750 0.750 0.750
Zr1 0.500 0.500 0.500
Sn1 0.000 0.000 0.000
O1 0.752 0.248 0.248
O2 0.248 0.752 0.752
O3 0.752 0.248 0.752
O4 0.248 0.752 0.248
O5 0.752 0.752 0.248
O6 0.248 0.248 0.752


The following is a DFT calculation (PBE) of a relaxed SrZr2SnO6 crystal.

Calculated values
energy above the most stable polymorph in this dataset = 48 meV per atom
VASP energy = -7.9776 eV per atom
density = 5450 kg/m³
calculated formation energy = -3.1416 eV per atom
magnetic moment = 0.00 μB per formula unit

Cell lengths 4.194, 4.194, 8.395 Å; angles 90.00, 90.00, 90.00 degrees
Sites, in units of the cell vectors:
Sr1 0.500 0.500 0.500
Zr1 0.000 0.000 0.751
Zr2 0.000 0.000 0.249
Sn1 0.500 0.500 0.000
O1 0.500 0.000 0.745
O2 0.500 0.000 0.255
O3 0.000 0.000 0.500
O4 0.000 0.000 0.000
O5 0.000 0.500 0.745
O6 0.000 0.500 0.255


The following is a DFT calculation (PBE) of a relaxed SrZr2SnO6 crystal.

Calculated values
energy above the most stable polymorph in this dataset = 0 meV per atom
VASP energy = -8.0256 eV per atom
density = 5619 kg/m³
calculated formation energy = -3.1896 eV per atom
magnetic moment = 0.00 μB per formula unit

Cell lengths 4.233, 5.818, 5.818 Å; angles 90.87, 90.00, 90.00 degrees
Sites, in units of the cell vectors:
Sr1 0.500 0.500 0.500
Zr1 0.000 0.000 0.500
Zr2 0.000 0.500 0.000
Sn1 0.500 0.000 0.000
O1 0.500 0.000 0.500
O2 0.500 0.500 0.000
O3 0.000 0.315 0.685
O4 0.000 0.685 0.315
O5 0.000 0.813 0.813
O6 0.000 0.187 0.187


The following is a DFT calculation (PBE) of a relaxed SrZr4SnO12 crystal.

Calculated values
VASP energy = -8.1122 eV per atom
density = 4625 kg/m³
calculated formation energy = -3.0555 eV per atom
magnetic moment = 2.00 μB per formula unit

Cell lengths 5.706, 5.706, 8.416 Å; angles 90.00, 90.00, 90.33 degrees
Sites, in units of the cell vectors:
Sr1 0.964 0.964 0.500
Zr1 0.497 0.006 0.751
Zr2 0.497 0.006 0.249
Zr3 0.006 0.497 0.249
Zr4 0.006 0.497 0.751
Sn1 0.529 0.529 0.000
O1 0.803 0.203 0.719
O2 0.203 0.803 0.719
O3 0.203 0.803 0.281
O4 0.803 0.203 0.281
O5 0.724 0.724 0.733
O6 0.341 0.341 0.833
O7 0.341 0.341 0.167
O8 0.724 0.724 0.267
O9 0.475 0.877 0.000
O10 0.462 0.043 0.500
O11 0.877 0.475 0.000
O12 0.043 0.462 0.500


The following is a DFT calculation (PBE) of a relaxed Ta2Sn2O7 crystal.

Calculated values
VASP energy = -8.2574 eV per atom
density = 7652 kg/m³
calculated formation energy = -2.6610 eV per atom
magnetic moment = 0.00 μB per formula unit

Cell lengths 7.586, 7.586, 7.586 Å; angles 60.00, 60.00, 60.00 degrees
Sites, in units of the cell vectors:
Ta1 0.625 0.625 0.625
Ta2 0.125 0.625 0.625
Ta3 0.625 0.125 0.625
Ta4 0.625 0.625 0.125
Sn1 0.125 0.125 0.125
Sn2 0.625 0.125 0.125
Sn3 0.125 0.625 0.125
Sn4 0.125 0.125 0.625
O1 0.250 0.250 0.250
O2 0.000 0.000 0.000
O3 0.563 0.937 0.563
O4 0.313 0.687 0.313
O5 0.563 0.563 0.937
O6 0.937 0.563 0.563
O7 0.563 0.937 0.937
O8 0.937 0.937 0.563
O9 0.937 0.563 0.937
O10 0.687 0.313 0.313
O11 0.313 0.687 0.687
O12 0.687 0.313 0.687
O13 0.313 0.313 0.687
O14 0.687 0.687 0.313


The following is a DFT calculation (PBE) of a relaxed TaSnO3 crystal.

Calculated values
VASP energy = -8.0919 eV per atom
density = 8546 kg/m³
calculated formation energy = -2.3619 eV per atom
magnetic moment = 0.00 μB per formula unit

Cell lengths 4.073, 4.073, 4.073 Å; angles 90.00, 90.00, 90.00 degrees
Sites, in units of the cell vectors:
Ta1 0.500 0.500 0.500
Sn1 0.000 0.000 0.000
O1 0.500 0.000 0.500
O2 0.500 0.500 0.000
O3 0.000 0.500 0.500


The following is a DFT calculation (PBE) of a relaxed Ta4SnO12 crystal.

Calculated values
energy above the most stable polymorph in this dataset = 153 meV per atom
VASP energy = -8.8971 eV per atom
density = 6866 kg/m³
calculated formation energy = -2.8634 eV per atom
magnetic moment = 1.56 μB per formula unit

Cell lengths 6.876, 6.876, 6.876 Å; angles 109.47, 109.47, 109.47 degrees
Sites, in units of the cell vectors:
Ta1 0.500 0.000 0.000
Ta2 0.000 0.000 0.500
Ta3 0.500 0.500 0.500
Ta4 0.000 0.500 0.000
Sn1 0.000 0.000 0.000
O1 0.757 0.757 0.514
O2 0.243 0.757 0.000
O3 0.486 0.243 0.243
O4 0.000 0.243 0.757
O5 0.757 0.243 0.000
O6 0.243 0.243 0.486
O7 0.243 0.486 0.243
O8 0.757 0.514 0.757
O9 0.514 0.757 0.757
O10 0.000 0.757 0.243
O11 0.243 0.000 0.757
O12 0.757 0.000 0.243


The following is a DFT calculation (PBE) of a relaxed Ta4SnO12 crystal.

Calculated values
energy above the most stable polymorph in this dataset = 0 meV per atom
VASP energy = -9.0505 eV per atom
density = 6935 kg/m³
calculated formation energy = -3.0168 eV per atom
magnetic moment = 0.00 μB per formula unit

Cell lengths 5.040, 5.566, 9.202 Å; angles 97.47, 104.46, 90.12 degrees
Sites, in units of the cell vectors:
Ta1 0.061 0.359 0.649
Ta2 0.424 0.141 0.347
Ta3 0.558 0.859 0.656
Ta4 0.918 0.646 0.348
Sn1 0.961 0.243 0.001
O1 0.021 0.440 0.851
O2 0.141 0.333 0.432
O3 0.204 0.058 0.144
O4 0.271 0.089 0.692
O5 0.283 0.834 0.433
O6 0.385 0.592 0.698
O7 0.596 0.413 0.309
O8 0.700 0.166 0.567
O9 0.706 0.912 0.299
O10 0.761 0.970 0.859
O11 0.843 0.669 0.567
O12 0.937 0.527 0.147


The following is a DFT calculation (PBE) of a relaxed TaZn2SnO6 crystal.

Calculated values
VASP energy = -6.5898 eV per atom
density = 7340 kg/m³
calculated formation energy = -2.1945 eV per atom
magnetic moment = 0.00 μB per formula unit

Cell lengths 7.899, 5.491, 5.496 Å; angles 88.03, 90.00, 90.00 degrees
Sites, in units of the cell vectors:
Ta1 0.000 0.000 0.500
Ta2 0.500 0.000 0.500
Zn1 0.750 0.020 0.011
Zn2 0.750 0.490 0.528
Zn3 0.250 0.510 0.472
Zn4 0.250 0.980 0.989
Sn1 0.000 0.500 0.000
Sn2 0.500 0.500 0.000
O1 0.435 0.144 0.179
O2 0.570 0.690 0.349
O3 0.565 0.856 0.821
O4 0.070 0.310 0.651
O5 0.250 0.875 0.570
O6 0.430 0.310 0.651
O7 0.930 0.690 0.349
O8 0.065 0.144 0.179
O9 0.750 0.381 0.904
O10 0.935 0.856 0.821
O11 0.250 0.619 0.096
O12 0.750 0.125 0.430


The following is a DFT calculation (PBE) of a relaxed Ta2Zn2SnO8 crystal.

Calculated values
VASP energy = -7.5081 eV per atom
density = 7171 kg/m³
calculated formation energy = -2.5594 eV per atom
magnetic moment = 0.00 μB per formula unit

Cell lengths 10.921, 10.921, 5.434 Å; angles 88.46, 88.46, 31.91 degrees
Sites, in units of the cell vectors:
Ta1 0.028 0.720 0.224
Ta2 0.280 0.972 0.276
Ta3 0.972 0.280 0.776
Ta4 0.720 0.028 0.724
Zn1 0.871 0.569 0.277
Zn2 0.431 0.129 0.223
Zn3 0.129 0.431 0.723
Zn4 0.569 0.871 0.777
Sn1 0.679 0.321 0.250
Sn2 0.321 0.679 0.750
O1 0.008 0.827 0.536
O2 0.173 0.992 0.964
O3 0.992 0.173 0.464
O4 0.827 0.008 0.036
O5 0.305 0.559 0.125
O6 0.441 0.695 0.375
O7 0.695 0.441 0.875
O8 0.559 0.305 0.625
O9 0.931 0.707 0.921
O10 0.293 0.069 0.579
O11 0.452 0.149 0.856
O12 0.851 0.548 0.644
O13 0.548 0.851 0.144
O14 0.149 0.452 0.356
O15 0.707 0.931 0.421
O16 0.069 0.293 0.079


The following is a DFT calculation (PBE) of a relaxed Tb2Sn2O7 crystal.

Calculated values
VASP energy = -7.3105 eV per atom
density = 7601 kg/m³
calculated formation energy = -3.0273 eV per atom

Cell lengths 7.443, 7.443, 7.443 Å; angles 60.00, 60.00, 60.00 degrees
Sites, in units of the cell vectors:
Tb1 0.625 0.625 0.125
Tb2 0.625 0.125 0.625
Tb3 0.125 0.625 0.625
Tb4 0.625 0.625 0.625
Sn1 0.125 0.125 0.625
Sn2 0.125 0.625 0.125
Sn3 0.625 0.125 0.125
Sn4 0.125 0.125 0.125
O1 0.750 0.750 0.750
O2 0.500 0.500 0.500
O3 0.036 0.464 0.036
O4 0.786 0.214 0.786
O5 0.036 0.036 0.464
O6 0.464 0.036 0.036
O7 0.036 0.464 0.464
O8 0.464 0.464 0.036
O9 0.464 0.036 0.464
O10 0.214 0.786 0.786
O11 0.786 0.214 0.214
O12 0.214 0.786 0.214
O13 0.786 0.786 0.214
O14 0.214 0.214 0.786


The following is a DFT calculation (PBE) of a relaxed TcSnO3 crystal.

Calculated values
VASP energy = -6.9295 eV per atom
density = 6950 kg/m³
calculated formation energy = -1.4988 eV per atom
magnetic moment = 0.00 μB per formula unit

Cell lengths 3.984, 3.984, 3.984 Å; angles 90.00, 90.00, 90.00 degrees
Sites, in units of the cell vectors:
Tc1 0.500 0.500 0.500
Sn1 0.000 0.000 0.000
O1 0.500 0.500 0.000
O2 0.500 0.000 0.500
O3 0.000 0.500 0.500


The following is a DFT calculation (PBE) of a relaxed Zn4Sn5Te3O18 crystal.

Calculated values
VASP energy = -5.3394 eV per atom
density = 6064 kg/m³
calculated formation energy = -1.6322 eV per atom
magnetic moment = 0.00 μB per formula unit

Cell lengths 9.192, 9.192, 11.318 Å; angles 89.35, 89.35, 60.93 degrees
Sites, in units of the cell vectors:
Zn1 0.447 0.147 0.323
Zn2 0.421 0.523 0.208
Zn3 0.853 0.553 0.677
Zn4 0.477 0.579 0.792
Zn5 0.129 0.818 0.707
Zn6 0.753 0.840 0.822
Zn7 0.160 0.247 0.178
Zn8 0.182 0.871 0.293
Sn1 0.506 0.198 0.001
Sn2 0.802 0.902 0.496
Sn3 0.695 0.638 0.309
Sn4 0.245 0.081 0.801
Sn5 0.362 0.305 0.691
Sn6 0.995 0.005 0.000
Sn7 0.623 0.377 0.500
Sn8 0.919 0.755 0.199
Sn9 0.098 0.198 0.504
Sn10 0.802 0.494 0.999
Te1 0.161 0.538 0.955
Te2 0.803 0.200 0.242
Te3 0.800 0.197 0.758
Te4 0.145 0.554 0.457
Te5 0.446 0.855 0.543
Te6 0.462 0.839 0.045
O1 0.867 0.588 0.852
O2 0.586 0.296 0.862
O3 0.388 0.460 0.561
O4 0.861 0.304 0.430
O5 0.704 0.414 0.138
O6 0.696 0.139 0.570
O7 0.195 0.643 0.305
O8 0.917 0.944 0.836
O9 0.689 0.447 0.676
O10 0.599 0.929 0.395
O11 0.363 0.455 0.057
O12 0.010 0.453 0.095
O13 0.035 0.095 0.659
O14 0.265 0.299 0.922
O15 0.545 0.637 0.943
O16 0.410 0.748 0.197
O17 0.238 0.940 0.446
O18 0.701 0.735 0.078
O19 0.540 0.612 0.439
O20 0.060 0.762 0.554
O21 0.196 0.259 0.353
O22 0.344 0.097 0.573
O23 0.056 0.083 0.164
O24 0.252 0.590 0.803
O25 0.221 0.926 0.929
O26 0.907 0.245 0.909
O27 0.547 0.990 0.905
O28 0.357 0.805 0.695
O29 0.905 0.965 0.341
O30 0.903 0.656 0.427
O31 0.741 0.804 0.647
O32 0.755 0.093 0.091
O33 0.553 0.311 0.324
O34 0.071 0.401 0.605
O35 0.074 0.779 0.071
O36 0.412 0.133 0.148


The following is a DFT calculation (PBE) of a relaxed TiSnO4 crystal.

Calculated values
piezoelectric modulus e_max = 2.38 C/m2
energy above the most stable polymorph in this dataset = 29 meV per atom
VASP energy = -7.5631 eV per atom
density = 4879 kg/m³
calculated formation energy = -2.7383 eV per atom
magnetic moment = 0.00 μB per formula unit

Cell lengths 5.862, 5.862, 5.862 Å; angles 141.21, 141.21, 56.02 degrees
Sites, in units of the cell vectors:
Ti1 0.750 0.250 0.500
Sn1 0.000 0.000 0.000
O1 0.556 0.056 0.500
O2 0.207 0.207 0.000
O3 0.944 0.444 0.500
O4 0.793 0.793 0.000


The following is a DFT calculation (PBE) of a relaxed TiSnO4 crystal.

Calculated values
energy above the most stable polymorph in this dataset = 0 meV per atom
VASP energy = -7.5922 eV per atom
density = 5478 kg/m³
calculated formation energy = -2.7674 eV per atom
magnetic moment = 0.00 μB per formula unit

Cell lengths 4.747, 4.747, 3.102 Å; angles 90.00, 90.00, 90.20 degrees
Sites, in units of the cell vectors:
Ti1 0.500 0.500 0.500
Sn1 0.000 0.000 0.000
O1 0.203 0.203 0.500
O2 0.797 0.797 0.500
O3 0.686 0.314 0.000
O4 0.314 0.686 0.000


The following is a DFT calculation (PBE) of a relaxed Ti4SnO10 crystal.

Calculated values
VASP energy = -8.3872 eV per atom
density = 4680 kg/m³
calculated formation energy = -3.1738 eV per atom
magnetic moment = 0.00 μB per formula unit

Cell lengths 4.699, 5.584, 12.981 Å; angles 101.62, 90.01, 90.03 degrees
Sites, in units of the cell vectors:
Ti1 0.502 0.090 0.903
Ti2 0.500 0.500 0.500
Ti3 0.498 0.910 0.097
Ti4 0.995 0.799 0.700
Ti5 0.000 0.000 0.500
Ti6 0.005 0.201 0.300
Ti7 0.982 0.403 0.098
Ti8 0.018 0.597 0.902
Sn1 0.499 0.700 0.299
Sn2 0.501 0.300 0.701
O1 0.818 0.547 0.763
O2 0.802 0.750 0.563
O3 0.818 0.944 0.361
O4 0.802 0.148 0.160
O5 0.806 0.344 0.961
O6 0.699 0.033 0.766
O7 0.700 0.245 0.555
O8 0.699 0.645 0.153
O9 0.694 0.846 0.962
O10 0.700 0.435 0.364
O11 0.301 0.355 0.847
O12 0.301 0.967 0.234
O13 0.300 0.565 0.636
O14 0.300 0.755 0.445
O15 0.306 0.154 0.038
O16 0.198 0.250 0.437
O17 0.198 0.852 0.840
O18 0.194 0.656 0.039
O19 0.182 0.056 0.639
O20 0.182 0.453 0.237